Record 1
An optimized crystal structure of LaBi2IO4, computed with PBE.

Summary:
calculated formation energy	-2.254	eV/atom
symmetry	No. 123
crystal system	tetragonal
total DFT energy (no corrections)	-49.32	eV for the cell shown

Lattice parameters (Å, degrees): 4.037 4.037 9.790 90.00 90.00 90.00
Fractional positions:
La 0.000 0.000 0.000
Bi 0.500 0.500 0.737
Bi 0.500 0.500 0.263
I 0.000 0.000 0.500
O 0.000 0.500 0.154
O 0.000 0.500 0.846
O 0.500 0.000 0.846
O 0.500 0.000 0.154

---

Record 2
An optimized crystal structure of SnP3O9, computed with PBE.

Summary:
calculated formation energy	-2.358	eV/atom
symmetry	No. 19
crystal system	orthorhombic
total DFT energy (no corrections)	-357.02	eV for the cell shown

Lattice parameters (Å, degrees): 5.553 10.627 11.923 90.00 90.00 90.00
Fractional positions:
Sn 0.390 0.887 0.599
Sn 0.610 0.387 0.901
Sn 0.110 0.113 0.099
Sn 0.890 0.613 0.401
P 0.598 0.281 0.181
P 0.877 0.354 0.641
P 0.402 0.781 0.319
P 0.623 0.646 0.141
P 0.888 0.079 0.629
P 0.902 0.719 0.681
P 0.123 0.854 0.859
P 0.388 0.421 0.371
P 0.377 0.146 0.359
P 0.612 0.921 0.129
P 0.098 0.219 0.819
P 0.112 0.579 0.871
O 0.466 0.009 0.056
O 0.842 0.283 0.127
O 0.372 0.282 0.423
O 0.362 0.536 0.838
O 0.638 0.036 0.662
O 0.115 0.726 0.600
O 0.654 0.368 0.714
O 0.045 0.950 0.942
O 0.158 0.783 0.373
O 0.342 0.217 0.873
O 0.154 0.132 0.286
O 0.872 0.218 0.577
O 0.658 0.717 0.627
O 0.034 0.991 0.556
O 0.628 0.782 0.077
O 0.545 0.550 0.058
O 0.885 0.226 0.900
O 0.862 0.964 0.162
O 0.128 0.718 0.923
O 0.597 0.169 0.271
O 0.557 0.401 0.261
O 0.455 0.050 0.442
O 0.966 0.491 0.944
O 0.955 0.450 0.558
O 0.138 0.464 0.338
O 0.403 0.669 0.229
O 0.057 0.099 0.739
O 0.903 0.831 0.771
O 0.346 0.868 0.786
O 0.443 0.901 0.239
O 0.385 0.274 0.100
O 0.943 0.599 0.761
O 0.534 0.509 0.444
O 0.615 0.774 0.400
O 0.097 0.331 0.729
O 0.846 0.632 0.214

---

Record 3
An optimized crystal structure of La3Ir3O11, computed with PBE.

Summary:
calculated formation energy	-2.451	eV/atom
symmetry	No. 201
crystal system	cubic
total DFT energy (no corrections)	-519.46	eV for the cell shown

Lattice parameters (Å, degrees): 9.576 9.576 9.576 90.00 90.00 90.00
Fractional positions:
La 0.750 0.750 0.750
La 0.250 0.250 0.750
La 0.750 0.250 0.250
La 0.250 0.750 0.250
La 0.135 0.135 0.135
La 0.865 0.865 0.135
La 0.135 0.865 0.865
La 0.865 0.135 0.865
La 0.365 0.365 0.365
La 0.635 0.635 0.365
La 0.365 0.635 0.635
La 0.635 0.365 0.635
Ir 0.158 0.500 0.000
Ir 0.000 0.158 0.500
Ir 0.500 0.000 0.158
Ir 0.000 0.842 0.500
Ir 0.500 0.000 0.842
Ir 0.842 0.500 0.000
Ir 0.342 0.000 0.500
Ir 0.500 0.342 0.000
Ir 0.000 0.500 0.342
Ir 0.500 0.658 0.000
Ir 0.000 0.500 0.658
Ir 0.658 0.000 0.500
O 0.834 0.502 0.209
O 0.834 0.498 0.791
O 0.166 0.502 0.791
O 0.498 0.791 0.834
O 0.791 0.166 0.502
O 0.791 0.834 0.498
O 0.502 0.209 0.834
O 0.209 0.834 0.502
O 0.502 0.791 0.166
O 0.498 0.209 0.166
O 0.209 0.166 0.498
O 0.166 0.498 0.209
O 0.666 0.998 0.291
O 0.666 0.002 0.709
O 0.334 0.998 0.709
O 0.002 0.709 0.666
O 0.395 0.605 0.395
O 0.709 0.334 0.998
O 0.998 0.291 0.666
O 0.291 0.666 0.998
O 0.998 0.709 0.334
O 0.002 0.291 0.334
O 0.291 0.334 0.002
O 0.334 0.002 0.291
O 0.363 0.000 0.000
O 0.000 0.363 0.000
O 0.000 0.000 0.363
O 0.000 0.637 0.000
O 0.000 0.000 0.637
O 0.637 0.000 0.000
O 0.137 0.500 0.500
O 0.500 0.137 0.500
O 0.500 0.500 0.137
O 0.500 0.863 0.500
O 0.500 0.500 0.863
O 0.863 0.500 0.500
O 0.895 0.895 0.895
O 0.105 0.105 0.895
O 0.895 0.105 0.105
O 0.105 0.895 0.105
O 0.605 0.605 0.605
O 0.395 0.395 0.605
O 0.605 0.395 0.395
O 0.709 0.666 0.002

---

Record 4
An optimized crystal structure of ZrSn3, computed with PBE.

Summary:
calculated formation energy	-0.133	eV/atom
symmetry	No. 139
crystal system	tetragonal
total DFT energy (no corrections)	-21.11	eV for the cell shown

Lattice parameters (Å, degrees): 5.979 5.979 5.979 137.19 137.19 62.15
Fractional positions:
Zr 0.000 0.000 0.000
Sn 0.500 0.500 0.000
Sn 0.250 0.750 0.500
Sn 0.750 0.250 0.500

---

Record 5
An optimized crystal structure of Al12GaS4O66, computed with PBE.

Summary:
calculated formation energy	-0.649	eV/atom
symmetry	No. 216
crystal system	cubic
total DFT energy (no corrections)	-444.98	eV for the cell shown

Lattice parameters (Å, degrees): 11.000 11.000 11.000 60.00 60.00 60.00
Fractional positions:
Al 0.703 0.703 0.427
Al 0.703 0.703 0.166
Al 0.427 0.166 0.703
Al 0.427 0.703 0.703
Al 0.166 0.427 0.703
Al 0.166 0.703 0.703
Al 0.703 0.427 0.166
Al 0.703 0.166 0.427
Al 0.703 0.427 0.703
Al 0.166 0.703 0.427
Al 0.427 0.703 0.166
Al 0.703 0.166 0.703
Ga 0.500 0.500 0.500
S 0.135 0.135 0.135
S 0.135 0.135 0.594
S 0.135 0.594 0.135
S 0.594 0.135 0.135
O 0.189 0.189 0.189
O 0.189 0.189 0.433
O 0.189 0.433 0.189
O 0.433 0.189 0.189
O 0.819 0.819 0.280
O 0.819 0.819 0.082
O 0.280 0.082 0.819
O 0.280 0.819 0.819
O 0.082 0.280 0.819
O 0.082 0.819 0.819
O 0.819 0.280 0.082
O 0.819 0.082 0.280
O 0.819 0.280 0.819
O 0.082 0.819 0.280
O 0.280 0.819 0.082
O 0.819 0.082 0.819
O 0.043 0.043 0.263
O 0.043 0.043 0.652
O 0.263 0.652 0.043
O 0.263 0.043 0.043
O 0.652 0.263 0.043
O 0.652 0.043 0.043
O 0.043 0.263 0.652
O 0.043 0.652 0.263
O 0.043 0.263 0.043
O 0.652 0.043 0.263
O 0.263 0.043 0.652
O 0.043 0.652 0.043
O 0.577 0.577 0.577
O 0.577 0.577 0.268
O 0.577 0.268 0.577
O 0.268 0.577 0.577
O 0.523 0.977 0.977
O 0.977 0.523 0.523
O 0.977 0.523 0.977
O 0.523 0.977 0.523
O 0.977 0.977 0.523
O 0.523 0.523 0.977
O 0.391 0.391 0.391
O 0.391 0.391 0.826
O 0.391 0.826 0.391
O 0.826 0.391 0.391
O 0.311 0.311 0.803
O 0.311 0.311 0.574
O 0.803 0.574 0.311
O 0.803 0.311 0.311
O 0.574 0.803 0.311
O 0.574 0.311 0.311
O 0.311 0.803 0.574
O 0.311 0.574 0.803
O 0.311 0.803 0.311
O 0.574 0.311 0.803
O 0.803 0.311 0.574
O 0.311 0.574 0.311
O 0.575 0.575 0.816
O 0.575 0.575 0.034
O 0.816 0.034 0.575
O 0.816 0.575 0.575
O 0.034 0.816 0.575
O 0.034 0.575 0.575
O 0.575 0.816 0.034
O 0.575 0.034 0.816
O 0.575 0.816 0.575
O 0.034 0.575 0.816
O 0.816 0.575 0.034
O 0.575 0.034 0.575

---

Record 6
An optimized crystal structure of MgSnF4, computed with PBE.

Summary:
calculated formation energy	-3.153	eV/atom
symmetry	No. 5
crystal system	monoclinic
total DFT energy (no corrections)	-60.67	eV for the cell shown

Lattice parameters (Å, degrees): 7.139 7.139 5.085 72.69 72.69 45.59
Fractional positions:
Mg 0.313 0.687 0.500
Mg 0.847 0.153 0.000
Sn 0.928 0.480 0.279
Sn 0.520 0.072 0.721
F 0.010 0.265 0.687
F 0.253 0.450 0.470
F 0.003 0.864 0.789
F 0.534 0.361 0.792
F 0.639 0.466 0.208
F 0.136 0.997 0.211
F 0.550 0.747 0.530
F 0.735 0.990 0.313

---

Record 7
An optimized crystal structure of Er3Mn3Ga2Si, computed with PBE.

Summary:
calculated formation energy	-0.359	eV/atom
symmetry	No. 189
crystal system	hexagonal
total DFT energy (no corrections)	-55.97	eV for the cell shown

Lattice parameters (Å, degrees): 3.903 7.035 7.035 120.00 90.00 90.00
Fractional positions:
Er 0.500 0.000 0.407
Er 0.500 0.593 0.593
Er 0.500 0.407 0.000
Mn 0.000 0.220 0.220
Mn 0.000 0.000 0.780
Mn 0.000 0.780 0.000
Ga 0.000 0.667 0.333
Ga 0.000 0.333 0.667
Si 0.500 0.000 0.000

---

Record 8
An optimized crystal structure of Ga5Pt, computed with PBE.

Summary:
calculated formation energy	-0.306	eV/atom
symmetry	No. 11
crystal system	monoclinic
total DFT energy (no corrections)	-184.37	eV for the cell shown

Lattice parameters (Å, degrees): 15.837 6.491 9.052 69.95 90.00 90.00
Fractional positions:
Ga 0.335 0.311 0.921
Ga 0.835 0.689 0.079
Ga 0.665 0.689 0.079
Ga 0.165 0.311 0.921
Ga 0.337 0.299 0.428
Ga 0.837 0.701 0.572
Ga 0.663 0.701 0.572
Ga 0.163 0.299 0.428
Ga 0.333 0.075 0.225
Ga 0.833 0.925 0.775
Ga 0.667 0.925 0.775
Ga 0.167 0.075 0.225
Ga 0.334 0.077 0.736
Ga 0.834 0.923 0.264
Ga 0.666 0.923 0.264
Ga 0.166 0.077 0.736
Ga 0.557 0.550 0.362
Ga 0.057 0.450 0.638
Ga 0.443 0.450 0.638
Ga 0.943 0.550 0.362
Ga 0.440 0.443 0.137
Ga 0.940 0.557 0.863
Ga 0.560 0.557 0.863
Ga 0.060 0.443 0.137
Ga 0.330 0.782 0.552
Ga 0.830 0.218 0.448
Ga 0.670 0.218 0.448
Ga 0.170 0.782 0.552
Ga 0.500 0.999 0.358
Ga 0.000 0.001 0.642
Ga 0.500 0.001 0.642
Ga 0.000 0.999 0.358
Ga 0.431 0.899 0.026
Ga 0.931 0.101 0.974
Ga 0.569 0.101 0.974
Ga 0.069 0.899 0.026
Ga 0.250 0.679 0.940
Ga 0.750 0.321 0.060
Ga 0.250 0.675 0.222
Ga 0.750 0.325 0.778
Pt 0.404 0.688 0.325
Pt 0.904 0.312 0.675
Pt 0.596 0.312 0.675
Pt 0.096 0.688 0.325
Pt 0.405 0.692 0.829
Pt 0.905 0.308 0.171
Pt 0.595 0.308 0.171
Pt 0.095 0.692 0.829

---

Record 9
An optimized crystal structure of CsMn2P2, computed with PBE.

Summary:
calculated formation energy	-0.478	eV/atom
symmetry	No. 139
crystal system	tetragonal
total DFT energy (no corrections)	-32.44	eV for the cell shown

Lattice parameters (Å, degrees): 3.823 3.823 7.876 104.04 104.04 90.00
Fractional positions:
Cs 0.000 0.000 0.000
Mn 0.250 0.750 0.500
Mn 0.750 0.250 0.500
P 0.667 0.667 0.333
P 0.333 0.333 0.667

---

Record 10
An optimized crystal structure of Sr5Hf2N6, computed with PBE.

Summary:
calculated formation energy	-1.166	eV/atom
symmetry	No. 15
crystal system	monoclinic
total DFT energy (no corrections)	-182.74	eV for the cell shown

Lattice parameters (Å, degrees): 6.620 7.144 13.834 90.00 101.75 122.66
Fractional positions:
Sr 0.053 0.771 0.010
Sr 0.947 0.718 0.490
Sr 0.947 0.229 0.990
Sr 0.053 0.282 0.510
Sr 0.311 0.009 0.723
Sr 0.689 0.698 0.777
Sr 0.689 0.991 0.277
Sr 0.311 0.302 0.223
Sr 0.000 0.351 0.750
Sr 0.000 0.649 0.250
Hf 0.548 0.859 0.566
Hf 0.452 0.311 0.934
Hf 0.452 0.141 0.434
Hf 0.548 0.689 0.066
N 0.899 0.936 0.620
N 0.101 0.036 0.880
N 0.101 0.064 0.380
N 0.899 0.964 0.120
N 0.288 0.646 0.642
N 0.712 0.359 0.858
N 0.712 0.354 0.358
N 0.288 0.641 0.142
N 0.584 0.162 0.587
N 0.416 0.578 0.913
N 0.416 0.838 0.413
N 0.584 0.422 0.087

---

Record 11
An optimized crystal structure of BaYAgTe3, computed with PBE.

Summary:
calculated formation energy	-1.473	eV/atom
symmetry	No. 63
crystal system	orthorhombic
total DFT energy (no corrections)	-56.44	eV for the cell shown

Lattice parameters (Å, degrees): 7.927 7.927 11.535 90.00 90.00 146.72
Fractional positions:
Ba 0.756 0.244 0.250
Ba 0.244 0.756 0.750
Y 0.000 0.000 0.000
Y 0.000 0.000 0.500
Ag 0.469 0.531 0.250
Ag 0.531 0.469 0.750
Te 0.638 0.362 0.949
Te 0.080 0.920 0.250
Te 0.362 0.638 0.449
Te 0.362 0.638 0.051
Te 0.638 0.362 0.551
Te 0.920 0.080 0.750

---

Record 12
An optimized crystal structure of SiNi, computed with PBE.

Summary:
calculated formation energy	-0.403	eV/atom
symmetry	No. 198
crystal system	cubic
total DFT energy (no corrections)	-48.05	eV for the cell shown

Lattice parameters (Å, degrees): 4.504 4.504 4.504 90.00 90.00 90.00
Fractional positions:
Si 0.653 0.153 0.347
Si 0.153 0.347 0.653
Si 0.347 0.653 0.153
Si 0.847 0.847 0.847
Ni 0.350 0.850 0.650
Ni 0.850 0.650 0.350
Ni 0.650 0.350 0.850
Ni 0.150 0.150 0.150

---

- Which value of total DFT energy (no corrections) does entry 2 give?
  -357.02 eV for the cell shown

---

- total DFT energy (no corrections) of number 2 (SnP3O9)?
  -357.02 eV for the cell shown

---

- Among the records above, which one has the lowest calculated formation energy?
  MgSnF4

---

Repeat the third record exactly.
An optimized crystal structure of La3Ir3O11, computed with PBE.

Summary:
calculated formation energy	-2.451	eV/atom
symmetry	No. 201
crystal system	cubic
total DFT energy (no corrections)	-519.46	eV for the cell shown

Lattice parameters (Å, degrees): 9.576 9.576 9.576 90.00 90.00 90.00
Fractional positions:
La 0.750 0.750 0.750
La 0.250 0.250 0.750
La 0.750 0.250 0.250
La 0.250 0.750 0.250
La 0.135 0.135 0.135
La 0.865 0.865 0.135
La 0.135 0.865 0.865
La 0.865 0.135 0.865
La 0.365 0.365 0.365
La 0.635 0.635 0.365
La 0.365 0.635 0.635
La 0.635 0.365 0.635
Ir 0.158 0.500 0.000
Ir 0.000 0.158 0.500
Ir 0.500 0.000 0.158
Ir 0.000 0.842 0.500
Ir 0.500 0.000 0.842
Ir 0.842 0.500 0.000
Ir 0.342 0.000 0.500
Ir 0.500 0.342 0.000
Ir 0.000 0.500 0.342
Ir 0.500 0.658 0.000
Ir 0.000 0.500 0.658
Ir 0.658 0.000 0.500
O 0.834 0.502 0.209
O 0.834 0.498 0.791
O 0.166 0.502 0.791
O 0.498 0.791 0.834
O 0.791 0.166 0.502
O 0.791 0.834 0.498
O 0.502 0.209 0.834
O 0.209 0.834 0.502
O 0.502 0.791 0.166
O 0.498 0.209 0.166
O 0.209 0.166 0.498
O 0.166 0.498 0.209
O 0.666 0.998 0.291
O 0.666 0.002 0.709
O 0.334 0.998 0.709
O 0.002 0.709 0.666
O 0.395 0.605 0.395
O 0.709 0.334 0.998
O 0.998 0.291 0.666
O 0.291 0.666 0.998
O 0.998 0.709 0.334
O 0.002 0.291 0.334
O 0.291 0.334 0.002
O 0.334 0.002 0.291
O 0.363 0.000 0.000
O 0.000 0.363 0.000
O 0.000 0.000 0.363
O 0.000 0.637 0.000
O 0.000 0.000 0.637
O 0.637 0.000 0.000
O 0.137 0.500 0.500
O 0.500 0.137 0.500
O 0.500 0.500 0.137
O 0.500 0.863 0.500
O 0.500 0.500 0.863
O 0.863 0.500 0.500
O 0.895 0.895 0.895
O 0.105 0.105 0.895
O 0.895 0.105 0.105
O 0.105 0.895 0.105
O 0.605 0.605 0.605
O 0.395 0.395 0.605
O 0.605 0.395 0.395
O 0.709 0.666 0.002